[1]
# Ag14H8I4O5F10

A relaxed structure of Ag14H8I4O5F10 (PBE-GGA, the Materials Project database).

Properties
As for the energy with MP2020 corrections: -3.85 eV/atom. Its size of the total moment is 3.999 μB per cell.

Lattice parameters (Å, degrees): 7.453 9.391 18.544 90.00 90.00 91.10
Atoms (fractional coordinates):
H (0.499, 0.649, 0.504)
H (0.280, 0.232, 0.044)
H (0.624, 0.463, 0.446)
H (0.636, 0.595, 0.946)
H (0.118, 0.957, 0.054)
H (0.144, 0.102, 0.553)
H (0.356, 0.398, 0.053)
H (0.516, 0.355, 0.497)
H (0.876, 0.037, 0.946)
H (0.864, 0.905, 0.446)
H (0.001, 0.851, 0.004)
H (0.220, 0.268, 0.544)
H (0.798, 0.738, 0.460)
H (0.702, 0.762, 0.960)
H (0.382, 0.543, 0.554)
H (0.984, 0.145, 0.997)
Ag (0.335, 0.991, 0.232)
Ag (0.591, 0.305, 0.157)
Ag (0.837, 0.488, 0.272)
Ag (0.928, 0.794, 0.164)
Ag (0.949, 0.810, 0.660)
Ag (0.073, 0.208, 0.839)
Ag (0.350, 0.752, 0.015)
Ag (0.427, 0.292, 0.339)
Ag (0.979, 0.235, 0.171)
Ag (0.863, 0.269, 0.491)
Ag (0.093, 0.808, 0.341)
Ag (0.187, 0.492, 0.211)
Ag (0.521, 0.265, 0.671)
Ag (0.909, 0.195, 0.657)
Ag (0.454, 0.308, 0.842)
Ag (0.313, 0.008, 0.711)
Ag (0.019, 0.767, 0.832)
Ag (0.407, 0.692, 0.841)
Ag (0.663, 0.012, 0.772)
Ag (0.046, 0.192, 0.342)
Ag (0.481, 0.733, 0.332)
Ag (0.165, 0.509, 0.732)
Ag (0.572, 0.706, 0.664)
Ag (0.637, 0.231, 0.991)
Ag (0.815, 0.509, 0.790)
Ag (0.551, 0.690, 0.160)
Ag (0.685, 0.991, 0.290)
Ag (0.150, 0.748, 0.515)
F (0.877, 0.869, 0.940)
F (0.482, 0.471, 0.740)
F (0.788, 0.251, 0.786)
F (0.712, 0.249, 0.286)
F (0.682, 0.753, 0.793)
F (0.018, 0.029, 0.240)
F (0.316, 0.251, 0.208)
F (0.339, 0.544, 0.092)
F (0.184, 0.249, 0.708)
F (0.845, 0.038, 0.401)
F (0.280, 0.753, 0.713)
F (0.161, 0.956, 0.592)
F (0.655, 0.462, 0.901)
F (0.220, 0.747, 0.213)
F (0.984, 0.969, 0.762)
F (0.516, 0.531, 0.262)
F (0.818, 0.747, 0.293)
F (0.392, 0.370, 0.562)
F (0.623, 0.631, 0.440)
F (0.108, 0.130, 0.062)
I (0.860, 0.488, 0.108)
I (0.362, 0.981, 0.398)
I (0.640, 0.012, 0.608)
I (0.874, 0.522, 0.634)
I (0.127, 0.473, 0.371)
I (0.626, 0.978, 0.134)
I (0.138, 0.519, 0.898)
I (0.373, 0.027, 0.871)
O (0.375, 0.303, 0.029)
O (0.125, 0.197, 0.529)
O (0.089, 0.852, 0.047)
O (0.897, 0.142, 0.954)
O (0.617, 0.684, 0.976)
O (0.048, 0.535, 0.502)
O (0.603, 0.358, 0.454)
O (0.452, 0.965, 0.002)
O (0.411, 0.648, 0.547)
O (0.883, 0.816, 0.476)

[2]
# Nb6GaSb

A relaxed structure of Nb6GaSb (PBE-GGA, the Materials Project database).

Properties
As for the energy with MP2020 corrections: -8.70 eV/atom. Its size of the total moment is 0.831 μB per cell.

Lattice parameters (Å, degrees): 5.259 5.259 5.259 90.00 90.00 90.00
Atoms (fractional coordinates):
Nb (0.000, 0.500, 0.249)
Nb (0.249, 0.000, 0.500)
Nb (0.500, 0.249, 0.000)
Nb (0.751, 0.000, 0.500)
Nb (0.500, 0.751, 0.000)
Nb (0.000, 0.500, 0.751)
Sb (0.000, 0.000, 0.000)
Ga (0.500, 0.500, 0.500)

[3]
# S5N3

A relaxed structure of S5N3 (PBE-GGA, the Materials Project database).

Properties
As for the energy with MP2020 corrections: -5.36 eV/atom. Its size of the total moment is 4.000 μB per cell.

Lattice parameters (Å, degrees): 7.248 8.277 13.874 90.00 90.00 90.00
Atoms (fractional coordinates):
S (0.151, 0.448, 0.628)
S (0.849, 0.552, 0.372)
S (0.151, 0.448, 0.872)
S (0.651, 0.052, 0.128)
S (0.791, 0.269, 0.861)
S (0.349, 0.948, 0.872)
S (0.709, 0.769, 0.861)
S (0.651, 0.052, 0.372)
S (0.849, 0.552, 0.128)
S (0.739, 0.664, 0.250)
S (0.239, 0.836, 0.750)
S (0.791, 0.269, 0.639)
S (0.291, 0.231, 0.361)
S (0.349, 0.948, 0.628)
S (0.209, 0.731, 0.361)
S (0.291, 0.231, 0.139)
S (0.709, 0.769, 0.639)
S (0.209, 0.731, 0.139)
S (0.761, 0.164, 0.250)
S (0.261, 0.336, 0.750)
N (0.264, 0.266, 0.250)
N (0.461, 0.138, 0.406)
N (0.039, 0.638, 0.406)
N (0.539, 0.862, 0.906)
N (0.736, 0.734, 0.750)
N (0.461, 0.138, 0.094)
N (0.539, 0.862, 0.594)
N (0.764, 0.234, 0.750)
N (0.961, 0.362, 0.906)
N (0.039, 0.638, 0.094)
N (0.961, 0.362, 0.594)
N (0.236, 0.766, 0.250)

[4]
# Dy2AgOs

A relaxed structure of Dy2AgOs (PBE-GGA, the Materials Project database).

Properties
The energy is -6.101 eV/atom. Its size of the total moment is 0.003 μB per cell.

Lattice parameters (Å, degrees): 4.950 4.950 4.950 60.00 60.00 60.00
Atoms (fractional coordinates):
Ag (0.500, 0.500, 0.500)
Dy (0.750, 0.750, 0.750)
Dy (0.250, 0.250, 0.250)
Os (0.000, 0.000, 0.000)

[5]
# LiGe3SbTe5

A relaxed structure of LiGe3SbTe5 (PBE-GGA, the Materials Project database).

Properties
As for the energy with MP2020 corrections: -4.00 eV/atom. Its size of the total moment is 0.000 μB per cell.

Lattice parameters (Å, degrees): 17.850 17.850 17.850 13.78 13.78 13.78
Atoms (fractional coordinates):
Te (0.802, 0.802, 0.802)
Te (0.603, 0.603, 0.603)
Te (0.000, 0.000, 0.000)
Te (0.403, 0.403, 0.403)
Te (0.203, 0.203, 0.203)
Li (0.105, 0.105, 0.105)
Ge (0.899, 0.899, 0.899)
Ge (0.498, 0.498, 0.498)
Ge (0.298, 0.298, 0.298)
Sb (0.702, 0.702, 0.702)

[6]
# NaAl3Si3H2O12

A relaxed structure of NaAl3Si3H2O12 (PBE-GGA, the Materials Project database).

Properties
As for the energy with MP2020 corrections: -7.51 eV/atom. The offset from the most stable computed form is 0.069 eV/f.u. Its size of the total moment is 0.001 μB per cell.

Lattice parameters (Å, degrees): 5.182 5.189 19.632 92.41 85.17 119.96
Atoms (fractional coordinates):
O (0.482, 0.879, 0.057)
O (0.451, 0.194, 0.326)
O (0.137, 0.743, 0.174)
O (0.627, 0.507, 0.443)
O (0.661, 0.776, 0.324)
O (0.982, 0.886, 0.553)
O (0.394, 0.257, 0.674)
O (0.885, 0.224, 0.824)
O (0.512, 0.814, 0.673)
O (0.575, 0.619, 0.162)
O (0.512, 0.108, 0.949)
O (0.698, 0.186, 0.173)
O (0.475, 0.445, 0.839)
O (0.404, 0.892, 0.449)
O (0.030, 0.555, 0.339)
O (0.257, 0.806, 0.826)
O (0.889, 0.872, 0.950)
O (0.956, 0.381, 0.662)
O (0.121, 0.493, 0.943)
O (0.017, 0.128, 0.450)
O (0.603, 0.121, 0.557)
O (0.875, 0.501, 0.056)
O (0.374, 0.499, 0.556)
O (0.096, 0.114, 0.053)
Al (0.526, 0.146, 0.859)
Al (0.380, 0.854, 0.359)
Al (0.334, 0.166, 0.498)
Al (0.667, 0.839, 0.497)
Al (0.829, 0.161, 0.997)
Al (0.168, 0.834, 0.998)
H (0.732, 0.708, 0.926)
H (0.024, 0.292, 0.426)
H (0.273, 0.297, 0.065)
H (0.977, 0.703, 0.565)
Si (0.184, 0.488, 0.858)
Si (0.306, 0.483, 0.639)
Si (0.620, 0.141, 0.639)
Si (0.696, 0.512, 0.358)
Si (0.479, 0.859, 0.139)
Si (0.823, 0.517, 0.139)
Na (0.078, 0.185, 0.265)
Na (0.893, 0.815, 0.765)

Which value of size of the total moment does entry 2 give? 0.831 μB per cell

Look up the size of the total moment of the first one. 3.999 μB per cell

Among the records above, which one has the highest size of the total moment? S5N3

Which of these has the highest size of the total moment? S5N3